No. 1
Compound: TbTa3
Source: the Materials Project database
Functional: GGA-PBE
Structure: optimized geometry

The space group is Fm-3m (No. 225) and the conventional cell measures 6.884, 6.884 and 6.884 Å, with angles of 90.00, 90.00 and 90.00 degrees. Symmetry generates all atoms from Tb at (0.000, 0.000, 0.000), Ta at (0.000, 0.000, 0.500) and Ta at (0.250, 0.250, 0.250).

The calculation puts the formation enthalpy at 0 K at 412.6 meV per atom. As for the total energy: -9.64 eV per atom. The value obtained for the magnetization is 0.01 μB/f.u.

---

No. 2
Compound: Zr2O
Source: the Materials Project database
Functional: GGA-PBE
Structure: optimized geometry

The space group is Pn-3m (No. 224, origin choice 2) and the conventional cell measures 4.876, 4.876 and 4.876 Å, with angles of 90.00, 90.00 and 90.00 degrees. Symmetry generates all atoms from Zr at (0.000, 0.000, 0.000) and O at (0.250, 0.250, 0.250).

The calculation puts the formation enthalpy at 0 K at -1771.6 meV per atom. As for the total energy: -8.89 eV per atom. The value obtained for the magnetization is 0.04 μB/f.u.

---

No. 3
Compound: Rb2InCuF6
Source: the Materials Project database
Functional: GGA-PBE
Structure: optimized geometry

The space group is Fm-3m (No. 225) and the conventional cell measures 8.757, 8.757 and 8.757 Å, with angles of 90.00, 90.00 and 90.00 degrees. Symmetry generates all atoms from Rb at (0.250, 0.250, 0.250), In at (0.000, 0.000, 0.000), Cu at (0.000, 0.000, 0.500) and F at (0.000, 0.000, 0.244).

The calculation puts the formation enthalpy at 0 K at -2589.7 meV per atom. As for the total energy: -4.34 eV per atom. The value obtained for the magnetization is 0.00 μB/f.u.

---

Copy entry 1 word for word.
Compound: TbTa3
Source: the Materials Project database
Functional: GGA-PBE
Structure: optimized geometry

The space group is Fm-3m (No. 225) and the conventional cell measures 6.884, 6.884 and 6.884 Å, with angles of 90.00, 90.00 and 90.00 degrees. Symmetry generates all atoms from Tb at (0.000, 0.000, 0.000), Ta at (0.000, 0.000, 0.500) and Ta at (0.250, 0.250, 0.250).

The calculation puts the formation enthalpy at 0 K at 412.6 meV per atom. As for the total energy: -9.64 eV per atom. The value obtained for the magnetization is 0.01 μB/f.u.

---

What did the second record say?
Compound: Zr2O
Source: the Materials Project database
Functional: GGA-PBE
Structure: optimized geometry

The space group is Pn-3m (No. 224, origin choice 2) and the conventional cell measures 4.876, 4.876 and 4.876 Å, with angles of 90.00, 90.00 and 90.00 degrees. Symmetry generates all atoms from Zr at (0.000, 0.000, 0.000) and O at (0.250, 0.250, 0.250).

The calculation puts the formation enthalpy at 0 K at -1771.6 meV per atom. As for the total energy: -8.89 eV per atom. The value obtained for the magnetization is 0.04 μB/f.u.

---

> Among the records above, which one has the highest magnetization?

Zr2O

---

> Among the records above, which one has the highest magnetization?

Zr2O